one) AlH3O3 | GGA-PBE | optimized geometry

spin magnetization: 0.00 μB per formula unit

Cell and atoms, written as POSCAR:
```
AlH3O3
1.0
8.677 0.000 0.000
0.000 4.789 0.000
0.000 0.560 5.113
O H Al
12 12 4
Cartesian
2.847 1.200 1.729
6.061 1.250 1.225
6.954 1.530 3.781
0.086 1.205 1.752
7.186 3.869 0.828
4.253 1.485 4.308
4.424 3.864 0.805
1.491 1.480 4.285
5.829 4.149 3.384
1.723 3.820 1.332
8.591 4.144 3.361
2.616 4.100 3.888
1.733 2.421 4.097
4.642 3.902 1.755
6.944 2.928 1.016
7.810 1.931 4.029
0.867 3.418 1.084
2.606 2.141 1.540
8.373 4.182 4.311
6.071 3.208 3.573
4.035 1.447 3.358
5.205 1.651 1.472
3.472 3.698 3.641
0.303 1.167 0.802
5.788 0.548 4.925
7.226 0.268 2.369
1.450 5.081 2.744
2.888 4.801 0.188
```



two) AlH3O3 | GGA-PBE | optimized geometry

spin magnetization: 0.00 μB per formula unit

Cell and atoms, written as POSCAR:
```
AlH3O3
1.0
-1.374 2.912 -3.911
2.092 -4.509 -1.002
-4.865 -0.932 1.761
O H Al
6 6 2
Cartesian
-3.845 -0.668 -0.587
-3.056 -2.521 -2.644
-1.090 -0.007 -0.507
-2.787 -2.911 0.649
-1.360 0.383 -3.800
-0.302 -1.860 -2.564
-3.387 0.525 -2.990
-2.123 -2.206 -2.586
-4.291 0.199 -0.485
-0.759 -3.053 -0.161
0.144 -2.727 -2.667
-2.023 -0.322 -0.565
0.439 -0.997 -0.984
-4.586 -1.532 -2.167
```



three) AlH3O3 | GGA-PBE | optimized geometry

spin magnetization: 0.00 μB per formula unit

Cell and atoms, written as POSCAR:
```
AlH3O3
1.0
5.019 0.000 0.000
0.000 5.034 0.000
0.000 0.000 7.048
O H Al
12 12 4
Cartesian
0.812 1.755 0.518
3.321 0.762 3.007
1.698 4.272 4.042
4.208 3.279 6.531
0.288 4.411 1.762
4.208 3.279 4.042
1.698 4.272 6.531
2.798 3.140 1.762
2.222 1.894 5.286
4.731 0.623 5.286
3.321 0.762 0.518
0.812 1.755 3.007
2.510 0.000 0.000
0.760 1.776 1.762
1.187 3.996 1.762
3.697 3.555 1.762
2.510 0.000 3.524
1.750 4.293 5.286
1.322 1.479 5.286
0.000 2.517 0.000
3.269 0.741 1.762
3.832 1.038 5.286
0.000 2.517 3.524
4.259 3.258 5.286
2.510 2.517 3.524
0.000 0.000 3.524
0.000 0.000 0.000
2.510 2.517 0.000
```



The most stable of them is two).



one) AlH3O3 | GGA-PBE | optimized geometry

spin magnetization: 0.00 μB per formula unit

Cell and atoms, written as POSCAR:
```
AlH3O3
1.0
-3.033 1.501 -3.863
-7.199 -2.404 4.579
-1.523 8.417 4.261
O H Al
24 24 8
Cartesian
-5.583 -0.456 2.876
-7.096 5.254 1.507
-8.174 5.901 6.376
-7.952 -0.008 1.544
-2.708 3.047 1.817
-5.084 3.579 0.520
-4.063 4.810 2.810
-5.513 0.666 0.291
-6.008 7.840 2.191
-2.872 0.290 1.248
-3.661 7.435 3.550
-4.730 2.214 3.487
-3.406 1.431 -1.336
-6.751 3.948 4.521
-7.168 1.532 4.704
-2.668 4.191 -0.708
-4.669 5.961 0.353
-8.774 7.069 3.841
-9.138 3.227 5.700
-9.204 4.416 3.135
-4.031 8.759 0.535
-7.749 2.669 2.221
-7.577 -1.344 4.540
-6.136 6.733 4.751
-5.286 2.506 2.735
-3.001 1.185 1.631
-6.698 7.159 2.063
-4.992 6.548 1.080
-3.171 2.321 -0.997
-10.177 4.409 3.208
-4.048 7.857 0.168
-1.873 2.766 1.415
-3.186 4.532 -1.459
-9.168 4.142 6.038
-6.447 4.861 4.323
-5.072 0.355 3.087
-7.448 -0.486 4.980
-6.019 0.915 -0.511
-7.779 1.743 1.873
-8.363 -0.349 2.363
-7.634 5.209 5.941
-6.492 4.940 2.209
-8.810 6.111 3.598
-6.902 0.944 3.965
-3.924 5.731 3.169
-5.632 6.460 5.544
-3.289 7.840 2.742
-5.188 2.606 0.458
-7.792 7.542 5.409
-10.475 7.850 4.246
-5.683 9.468 1.239
-3.532 4.564 1.010
-5.358 8.305 3.931
-8.302 2.947 4.016
-6.213 4.890 -0.187
-5.577 2.593 5.178
```



two) AlH3O3 | GGA-PBE | optimized geometry

spin magnetization: 0.00 μB per formula unit

Cell and atoms, written as POSCAR:
```
AlH3O3
1.0
5.024 0.000 0.000
-0.010 8.861 0.000
-0.009 -0.167 9.708
H O Al
24 24 8
Cartesian
0.835 7.037 7.688
3.056 8.741 6.825
0.259 8.064 5.868
1.873 5.188 3.632
1.955 0.030 1.989
0.667 0.588 8.522
2.315 3.636 1.001
2.584 5.262 5.887
1.712 2.740 2.846
0.639 4.452 6.821
5.019 0.864 1.091
4.101 8.280 8.558
4.549 4.349 1.967
3.358 5.899 7.727
1.416 6.204 1.992
1.691 4.433 8.659
3.637 2.488 7.710
0.884 0.179 3.814
4.513 7.886 1.261
3.076 3.468 6.114
3.917 6.996 2.853
4.221 1.643 2.886
3.467 4.035 3.705
1.135 1.698 6.868
3.951 7.110 1.107
1.771 2.816 1.012
4.291 1.561 3.869
3.643 2.693 5.977
3.281 5.960 5.903
1.465 6.067 3.740
3.584 2.539 8.696
3.289 5.801 8.710
3.167 8.572 8.648
1.448 6.104 1.008
1.857 0.032 3.769
4.364 4.328 0.998
4.313 1.552 1.064
0.744 7.132 8.671
4.405 4.316 3.790
1.800 0.050 1.005
1.126 1.684 5.878
0.797 7.241 5.853
1.808 2.874 3.825
0.787 4.494 5.838
1.092 1.459 8.617
3.998 7.142 3.828
3.231 8.753 5.853
0.717 4.289 8.612
0.123 2.789 9.680
2.670 1.264 9.703
2.374 7.344 0.001
4.898 5.673 9.703
0.193 2.922 4.865
4.914 5.867 4.832
2.689 1.418 4.865
2.438 7.385 4.822
```



The most stable of them is two).